Here is an optimized crystal structure of CuHgSCl from Materials Project. Energies are from GGA-PBE.

```
16
Lattice="4.095 0.000 0.000 0.000 9.036 0.000 0.000 0.000 10.158" Properties=species:S:1:pos:R:3 pbc="T T T"
Cu 0.000 2.072 9.292
Cu 0.000 6.964 4.213
Cu 0.000 6.964 0.866
Cu 0.000 2.072 5.945
Hg 2.047 1.848 2.539
Hg 2.047 4.518 5.079
Hg 2.047 7.188 7.618
Hg 2.047 4.518 0.000
S 2.047 6.927 10.057
S 2.047 6.927 5.180
S 2.047 2.109 0.101
S 2.047 2.109 4.978
Cl 0.000 0.376 7.618
Cl 0.000 8.660 2.539
Cl 0.000 5.047 2.539
Cl 0.000 3.989 7.618
```

Computed properties:
Magnetization (μB/cell): 0.00
Space group: Pmma (51)
Crystal system: orthorhombic
Calculated formation energy (eV/f.u.): -2.50
Calculated volume (Å³ per atom): 23.5

Here is an optimized crystal structure of CuHgSCl from Materials Project. Energies are from GGA-PBE.

```
32
Lattice="-0.170 -2.407 3.261 8.282 -4.686 -3.026 10.248 12.034 9.417" Properties=species:S:1:pos:R:3 pbc="T T T"
Cu 13.847 3.271 3.137
Cu 4.684 4.077 3.254
Cu 12.314 8.677 7.047
Cu 7.996 3.104 2.708
Cu 8.495 -3.517 -2.152
Cu 10.036 10.865 8.543
Cu 10.535 4.245 3.683
Cu 6.217 -1.329 -0.656
Hg 3.154 -1.112 1.867
Hg 10.406 -2.941 0.896
Hg 7.954 7.883 8.756
Hg 10.208 -0.035 3.030
Hg 11.796 5.189 6.968
Hg 8.152 4.976 6.621
Hg 15.206 6.054 7.785
Hg 6.564 -0.247 2.684
S 10.141 3.785 5.846
S 12.972 6.870 8.270
S 5.388 -1.928 1.381
S 6.433 6.397 7.580
S 11.928 -1.455 2.072
S 1.089 -0.010 2.572
S 8.220 1.157 3.806
S 17.272 4.952 7.080
Cl 12.297 10.582 8.452
Cl 11.652 2.618 2.540
Cl 8.519 -0.802 -0.147
Cl 4.883 2.136 1.831
Cl 6.233 -3.233 -2.061
Cl 6.879 4.731 3.851
Cl 13.647 5.213 4.560
Cl 10.012 8.150 6.538
```

Computed properties:
Magnetization (μB/cell): 0.00
Space group: Pbam (55)
Crystal system: orthorhombic
Calculated formation energy (eV/f.u.): -2.54
Calculated volume (Å³ per atom): 23.3

Here is an optimized crystal structure of Cu4I3Cl from Materials Project. Energies are from GGA-PBE.

```
8
Lattice="-3.649 -1.562 -0.252 1.800 -4.622 2.587 -1.854 3.198 7.006" Properties=species:S:1:pos:R:3 pbc="T T T"
Cu -0.927 1.599 3.503
Cu -2.325 -0.676 6.459
Cu 0.000 0.000 0.000
Cu -1.378 -2.310 2.881
I -2.275 -0.004 1.576
I -0.027 -0.712 4.796
I -3.228 1.640 5.178
Cl 0.900 -2.311 1.293
```

Computed properties:
Magnetization (μB/cell): 0.00
Space group: Pmmm (47)
Crystal system: orthorhombic
Calculated formation energy (eV/f.u.): -0.40
Calculated volume (Å³ per atom): 22.0

Here is an optimized crystal structure of Na2CuI2Cl2 from Materials Project. Energies are from GGA-PBE.

```
7
Lattice="5.338 0.000 0.000 0.000 5.338 0.000 0.000 0.000 6.720" Properties=species:S:1:pos:R:3 pbc="T T T"
Na 0.000 2.669 3.360
Na 2.669 0.000 3.360
Cu 0.000 0.000 0.000
I 0.000 2.669 0.000
I 2.669 0.000 0.000
Cl 0.000 0.000 3.360
Cl 2.669 2.669 3.360
```

Computed properties:
Magnetization (μB/cell): 0.00
Space group: P4/mmm (123)
Crystal system: tetragonal
Calculated formation energy (eV/f.u.): -7.71
Calculated volume (Å³ per atom): 27.4

Here is an optimized crystal structure of K2InCuCl6 from Materials Project. Energies are from GGA-PBE.

```
10
Lattice="2.697 -5.516 3.749 3.441 1.206 6.202 -3.030 -1.938 6.231" Properties=species:S:1:pos:R:3 pbc="T T T"
K 2.331 -4.687 12.136
K 0.777 -1.562 4.045
In 0.000 0.000 0.000
Cu 1.554 -3.124 8.091
Cl 2.119 -4.306 5.946
Cl -0.710 -2.539 7.172
Cl 0.990 -1.943 10.235
Cl 2.486 -0.985 7.158
Cl 0.622 -5.263 9.024
Cl 3.819 -3.710 9.010
```

Computed properties:
Magnetization (μB/cell): 0.01
Space group: Fm-3m (225)
Crystal system: cubic
Calculated formation energy (eV/f.u.): -16.55
Calculated volume (Å³ per atom): 26.3

Here is an optimized crystal structure of Rb2InCuCl6 from Materials Project. Energies are from GGA-PBE.

```
10
Lattice="0.000 5.124 5.124 5.124 0.000 5.124 5.124 5.124 0.000" Properties=species:S:1:pos:R:3 pbc="T T T"
Rb 7.685 7.685 7.685
Rb 2.562 2.562 2.562
In 0.000 0.000 0.000
Cu 5.124 5.124 5.124
Cl 2.588 5.124 5.124
Cl 5.124 5.124 2.588
Cl 7.659 5.124 5.124
Cl 5.124 2.588 5.124
Cl 5.124 7.659 5.124
Cl 5.124 5.124 7.659
```

Computed properties:
Magnetization (μB/cell): 0.00
Space group: Fm-3m (225)
Crystal system: cubic
Calculated formation energy (eV/f.u.): -16.78
Calculated volume (Å³ per atom): 26.9

Here is an optimized crystal structure of In2CuTe3Cl from Materials Project. Energies are from GGA-PBE.

```
7
Lattice="4.724 -1.293 3.787 -1.754 4.540 3.883 -4.862 -5.610 -0.613" Properties=species:S:1:pos:R:3 pbc="T T T"
In -6.491 -1.104 3.317
In 0.609 -2.714 3.538
Cu -3.482 -3.729 3.194
Te -1.989 -1.990 4.325
Te -2.977 -3.834 0.693
Te -1.059 1.814 4.590
Cl 2.288 -0.864 4.453
```

Computed properties:
Magnetization (μB/cell): 0.00
Space group: P1 (1)
Crystal system: triclinic
Calculated formation energy (eV/f.u.): -3.19
Calculated volume (Å³ per atom): 33.8

Here is an optimized crystal structure of KCuCl3 from Materials Project. Energies are from GGA-PBE.

```
20
Lattice="-4.614 0.313 -13.608 4.349 -1.211 -1.502 -2.317 -9.537 0.566" Properties=species:S:1:pos:R:3 pbc="T T T"
K 1.356 -5.988 -2.881
K -4.177 -9.278 -8.670
K -3.937 -4.447 -11.663
K 1.595 -1.157 -5.874
Cu -1.748 -3.616 -7.691
Cu -4.842 -8.254 -13.117
Cu 2.260 -2.181 -1.427
Cu -0.834 -6.819 -6.853
Cl -2.253 -0.874 -12.962
Cl -0.581 -4.697 -6.027
Cl -2.822 -2.702 -9.431
Cl -1.393 -1.613 -6.693
Cl -1.189 -8.822 -7.851
Cl -4.624 -7.427 -11.046
Cl -0.328 -9.562 -1.582
Cl -0.525 -6.519 -0.433
Cl 2.043 -3.009 -3.498
Cl -2.001 -5.738 -8.517
Cl 0.241 -7.734 -5.113
Cl -2.057 -3.916 -14.111
```

Computed properties:
Magnetization (μB/cell): 4.00
Space group: P2_1/c (14)
Crystal system: monoclinic
Calculated formation energy (eV/f.u.): -7.21
Calculated volume (Å³ per atom): 33.6

Here is an optimized crystal structure of KCuCl3 from Materials Project. Energies are from GGA-PBE.

```
5
Lattice="-4.025 1.154 -2.464 1.040 -3.413 -3.298 -2.514 -3.260 2.580" Properties=species:S:1:pos:R:3 pbc="T T T"
K 0.000 0.000 0.000
Cu -2.749 -2.759 -1.591
Cl -0.737 -3.336 -0.359
Cl -3.270 -1.053 0.058
Cl -1.492 -1.129 -2.881
```

Computed properties:
Space group: Pm-3m (221)
Crystal system: cubic
Calculated formation energy (eV/f.u.): -7.25
Calculated volume (Å³ per atom): 22.9

Here is an optimized crystal structure of KCuCl3 from Materials Project. Energies are from GGA-PBE.

```
20
Lattice="-12.162 -0.231 6.685 1.230 -3.507 2.116 3.867 3.754 7.165" Properties=species:S:1:pos:R:3 pbc="T T T"
K -7.460 -1.269 10.376
K -3.545 -0.630 3.110
K 0.394 1.285 5.590
K -3.521 0.646 12.856
Cu -5.054 0.318 6.661
Cu 0.925 -2.087 3.046
Cu -2.012 -0.303 9.305
Cu -7.991 2.103 12.920
Cl -10.394 -0.205 9.645
Cl 2.741 3.011 7.923
Cl -2.884 1.064 6.369
Cl -9.807 -2.995 8.043
Cl -6.546 1.618 11.247
Cl 0.160 0.250 8.991
Cl -0.520 -1.603 4.719
Cl -4.468 -1.767 5.961
Cl 3.328 0.221 6.321
Cl -2.597 1.783 10.005
Cl -7.226 -0.235 6.975
Cl -4.182 -1.048 9.597
```

Computed properties:
Space group: P2_1/c (14)
Crystal system: monoclinic
Calculated formation energy (eV/f.u.): -7.32
Calculated volume (Å³ per atom): 26.2

Here is an optimized crystal structure of K2CuCl4 from Materials Project. Energies are from GGA-PBE.

```
28
Lattice="-0.626 -1.607 6.839 -0.446 -9.079 -2.175 12.110 -0.814 0.918" Properties=species:S:1:pos:R:3 pbc="T T T"
K 1.493 -9.568 -0.293
K 9.545 -1.933 5.876
K 7.453 -6.347 4.647
K 3.585 -5.154 0.936
K 10.656 -7.022 1.144
K 0.382 -4.478 4.438
K 4.196 -9.289 3.657
K 6.842 -2.211 1.925
Cu 6.484 -7.450 0.661
Cu 4.554 -4.050 4.921
Cu 0.093 -8.305 3.513
Cu 10.945 -3.196 2.070
Cl 6.930 -9.409 5.563
Cl 4.108 -2.091 0.020
Cl 1.526 -6.472 -1.246
Cl 3.818 -2.835 3.186
Cl 9.512 -5.029 6.829
Cl 7.220 -8.665 2.397
Cl 9.802 -4.285 3.663
Cl 1.236 -7.216 1.919
Cl 6.863 -5.288 1.204
Cl 4.175 -6.213 4.378
Cl 0.704 -1.425 5.185
Cl 10.334 -10.076 0.397
Cl 0.785 -3.496 1.069
Cl 10.253 -8.004 4.514
Cl 6.601 -3.204 5.307
Cl 4.437 -8.296 0.275
```

Computed properties:
Magnetization (μB/cell): 3.97
Space group: Pnma (62)
Crystal system: orthorhombic
Calculated formation energy (eV/f.u.): -11.58
Calculated volume (Å³ per atom): 28.7

Here is an optimized crystal structure of K2CuCl3 from Materials Project. Energies are from GGA-PBE.

```
24
Lattice="4.168 0.000 0.000 0.000 12.239 0.000 0.000 0.000 12.692" Properties=species:S:1:pos:R:3 pbc="T T T"
K 3.126 8.249 0.239
K 1.042 5.965 4.115
K 3.126 2.129 6.107
K 3.126 6.274 8.578
K 1.042 10.110 6.585
K 1.042 12.084 2.231
K 1.042 3.991 12.454
K 3.126 0.155 10.461
Cu 3.126 9.210 3.839
Cu 1.042 9.149 10.185
Cu 1.042 3.029 8.853
Cu 3.126 3.090 2.507
Cl 1.042 2.748 3.652
Cl 1.042 8.868 2.694
Cl 3.126 3.371 9.998
Cl 3.126 9.491 9.040
Cl 1.042 6.907 10.902
Cl 3.126 5.332 1.791
Cl 1.042 10.594 12.011
Cl 3.126 7.764 5.665
Cl 3.126 1.645 0.681
Cl 1.042 0.787 8.137
Cl 1.042 4.475 7.027
Cl 3.126 11.452 4.555
```

Computed properties:
Space group: Pnma (62)
Crystal system: orthorhombic
Calculated formation energy (eV/f.u.): -10.47
Calculated volume (Å³ per atom): 27.0